1.
Here is HfNiGe after structural relaxation from Materials Project. Energies are from PBE-GGA.

Cell lengths 6.4959, 3.8735, 7.2860 Å; angles 90.00, 90.00, 90.00 degrees
Sites, in units of the cell vectors:
Hf1 0.0161 0.2500 0.1882
Hf2 0.4839 0.7500 0.6882
Hf3 0.5161 0.2500 0.3118
Hf4 0.9839 0.7500 0.8118
Ni1 0.1431 0.2500 0.5634
Ni2 0.3569 0.7500 0.0634
Ni3 0.6431 0.2500 0.9366
Ni4 0.8569 0.7500 0.4366
Ge1 0.2306 0.7500 0.3849
Ge2 0.2694 0.2500 0.8849
Ge3 0.7306 0.7500 0.1151
Ge4 0.7694 0.2500 0.6151

Results
Space-group type: Pnma


2.
Here is HfGeO2 after structural relaxation from Materials Project. Energies are from PBE-GGA.

Cell lengths 7.0360, 7.0360, 7.0360 Å; angles 125.51, 125.51, 80.69 degrees
Sites, in units of the cell vectors:
Hf1 0.0000 0.0000 0.0000
Hf2 0.0000 0.0000 0.5000
Hf3 0.0000 0.5000 0.0000
Hf4 0.5000 0.0000 0.5000
Ge1 0.0000 0.5000 0.5000
Ge2 0.5000 0.0000 0.0000
Ge3 0.5000 0.5000 0.0000
Ge4 0.5000 0.5000 0.5000
O1 0.1713 0.2026 0.9688
O2 0.2026 0.1713 0.4688
O3 0.2026 0.7338 0.0312
O4 0.2662 0.7974 0.4688
O5 0.7338 0.2026 0.5312
O6 0.7974 0.2662 0.9688
O7 0.7974 0.8287 0.5312
O8 0.8287 0.7974 0.0312

Results
Space-group type: I4_1/amd


3.
Here is Hf3GeO8 after structural relaxation from Materials Project. Energies are from PBE-GGA.

Cell lengths 6.3208, 6.3208, 6.3208 Å; angles 133.36, 133.36, 68.08 degrees
Sites, in units of the cell vectors:
Hf1 0.0000 0.0000 0.0000
Hf2 0.2500 0.7500 0.5000
Hf3 0.7500 0.2500 0.5000
Ge1 0.5000 0.5000 0.0000
O1 0.0397 0.6422 0.0000
O2 0.1950 0.1950 0.5690
O3 0.3578 0.3578 0.3975
O4 0.3740 0.8050 0.0000
O5 0.6260 0.6260 0.4310
O6 0.6422 0.0397 0.0000
O7 0.8050 0.3740 0.0000
O8 0.9603 0.9603 0.6025

Results
Space-group type: I-42m


4.
Here is HfGeO2 after structural relaxation from Materials Project. Energies are from PBE-GGA.

Cell lengths 7.0202, 7.0202, 7.0202 Å; angles 124.60, 124.60, 82.20 degrees
Sites, in units of the cell vectors:
Hf1 0.0000 0.0000 0.0000
Hf2 0.5000 0.0000 0.0000
Hf3 0.5000 0.0000 0.5000
Hf4 0.5000 0.5000 0.5000
Ge1 0.0000 0.0000 0.5000
Ge2 0.0000 0.5000 0.0000
Ge3 0.0000 0.5000 0.5000
Ge4 0.5000 0.5000 0.0000
O1 0.2416 0.2169 0.0496
O2 0.2831 0.8327 0.0247
O3 0.3080 0.2584 0.4753
O4 0.3327 0.8080 0.5496
O5 0.6673 0.1920 0.4504
O6 0.6920 0.7416 0.5247
O7 0.7169 0.1673 0.9753
O8 0.7584 0.7831 0.9504

Results
Space-group type: I4_1/a


no.,E_form (eV per atom)
1,-0.739
2,-2.041
3,-3.524
4,-2.038